DFT (PBE+U) results for an optimized crystal structure of Na4Co2O5.

Cell and atoms, written as POSCAR:
```
Na4Co2O5
1.0
9.095 0.000 0.000
0.000 5.748 0.000
-5.701 0.000 11.330
Na Co O
16 8 20
direct
0.109 0.120 0.131
0.109 0.380 0.631
0.205 0.586 0.040
0.205 0.914 0.540
0.301 0.071 0.962
0.301 0.429 0.462
0.375 0.628 0.860
0.375 0.872 0.360
0.625 0.128 0.640
0.625 0.372 0.140
0.699 0.571 0.538
0.699 0.929 0.038
0.795 0.086 0.460
0.795 0.414 0.960
0.891 0.620 0.369
0.891 0.880 0.869
0.036 0.613 0.194
0.036 0.887 0.694
0.453 0.160 0.799
0.453 0.340 0.299
0.547 0.660 0.701
0.547 0.840 0.201
0.964 0.113 0.306
0.964 0.387 0.806
0.048 0.232 0.943
0.048 0.268 0.443
0.087 0.655 0.820
0.087 0.845 0.320
0.255 0.511 0.243
0.255 0.989 0.743
0.394 0.086 0.194
0.394 0.414 0.694
0.462 0.739 0.052
0.462 0.761 0.552
0.538 0.239 0.448
0.538 0.261 0.948
0.606 0.586 0.306
0.606 0.914 0.806
0.745 0.011 0.257
0.745 0.489 0.757
0.913 0.155 0.680
0.913 0.345 0.180
0.952 0.732 0.557
0.952 0.768 0.057
```

Properties
As for the symmetry: P2_1/c, No. 14. The calculated density is 3.25 g cm⁻³. The value obtained for the distance to the lowest polymorph of the same formula is 0.0 kJ per mole of atoms. For the size of the total moment, the calculation gives 32.000 μB/cell. The formation enthalpy at 0 K comes out at -1.52 eV per atom. For the raw total energy, the calculation gives -4.93 eV/atom.